A relaxed structure of BaMgMnV2Ag2O8. Source: the Materials Project database, functional PBE with a Hubbard U.

## Properties
Calculated formation energy in kJ/mol of atoms: -198
Mass density in g cm⁻³: 5.0
Energy above the most stable polymorph in this dataset in meV per atom: 0
Total magnetization in μB/atom: 0.33
Energy with MP2020 corrections in eV/atom: -7.1304

a b c (Å): 5.5622 5.7216 7.4694
angles (deg): 90.86 93.28 111.04
With the nearest neighbours (Å) after each atom.
Sites, in units of the cell vectors:
Ba: 0.0000 0.0000 0.0000  5 O 2.75-2.90
Mg: 0.5728 0.9427 0.5562  5 O 2.02-2.10
Mn: 0.1088 0.0778 0.4685  5 O 2.12-2.29
V: 0.4038 0.6596 0.2326  4 O 1.76-1.92
V: 0.6762 0.4015 0.7697  3 O 1.74-1.89
Ag: 0.2219 0.5639 0.7620  3 O 2.21-2.47
Ag: 0.8067 0.4353 0.3162  5 O 2.41-2.68
O: 0.2379 0.7789 0.4030  1 V 1.87, 1 Mg 2.03
O: 0.3036 0.3267 0.2701  1 V 1.81
O: 0.3609 0.7743 0.0211  1 V 1.76
O: 0.3726 0.1287 0.6942  1 V 1.89, 1 Mg 2.09, 1 Mn 2.12
O: 0.6869 0.7081 0.7084  1 V 1.80
O: 0.7400 0.8766 0.3252  1 V 1.92, 1 Mg 2.10
O: 0.7717 0.3824 0.9939  1 V 1.74
O: 0.8750 0.2667 0.6181  1 V 1.96, 1 Mg 2.03


A relaxed structure of BaMgMnV2Ag2O8. Source: the Materials Project database, functional PBE with a Hubbard U.

## Properties
Calculated formation energy in kJ/mol of atoms: -193
Mass density in g cm⁻³: 4.9
Energy above the most stable polymorph in this dataset in meV per atom: 61
Total magnetization in μB/atom: 0.20
Energy with MP2020 corrections in eV/atom: -7.0696

a b c (Å): 5.7029 5.7354 7.6469
angles (deg): 97.40 90.76 114.98
With the nearest neighbours (Å) after each atom.
Sites, in units of the cell vectors:
Ba: 0.0000 0.0000 0.0000  6 O 2.69-2.94
Mg: 0.4505 0.4782 0.8136  4 O 1.96-2.06
Mn: 0.1003 0.1762 0.4501  6 O 2.16-2.30
V: 0.4811 0.9093 0.6926  4 O 1.78-1.90
V: 0.7205 0.4469 0.2005  4 O 1.83-1.87
Ag: 0.4134 0.7904 0.2553  4 O 2.39-2.61
Ag: 0.8993 0.6114 0.5799  3 O 2.25-2.50
O: 0.2637 0.5540 0.6113  1 V 1.90, 1 Mg 2.06
O: 0.3316 0.1285 0.6794  1 V 1.80, 1 Mg 1.96
O: 0.3801 0.3582 0.2441  1 V 1.83
O: 0.4781 0.8291 0.9209  1 V 1.86, 1 Mg 2.01
O: 0.7340 0.4763 0.9645  1 V 1.83, 1 Mg 1.98
O: 0.7985 0.9600 0.6357  1 V 1.78
O: 0.8006 0.2030 0.2858  1 V 1.83
O: 0.9875 0.7731 0.2882  1 V 1.87


A relaxed structure of Cr2AgBiO8. Source: the Materials Project database, functional PBE with a Hubbard U.

## Properties
Calculated formation energy in kJ/mol of atoms: -144
Largest piezoelectric modulus in C/m2: 2.6
Mass density in g cm⁻³: 5.8
Total magnetization in μB/atom: 0.00
Energy with MP2020 corrections in eV/atom: -6.9590

a b c (Å): 6.9407 6.9407 6.9407
angles (deg): 136.54 136.54 63.15
With the nearest neighbours (Å) after each atom.
Sites, in units of the cell vectors:
Cr: 0.0000 0.0000 0.0000  4 O 1.68
Cr: 0.7500 0.2500 0.5000  4 O 1.68
Ag: 0.5000 0.5000 0.0000  8 O 2.54
Bi: 0.2500 0.7500 0.5000  8 O 2.47-2.49
O: 0.0702 0.4555 0.8754  1 Cr 1.68
O: 0.1607 0.0417 0.3627  1 Cr 1.68
O: 0.2020 0.8393 0.8811  1 Cr 1.68
O: 0.5445 0.4199 0.6148  1 Cr 1.68
O: 0.5801 0.1949 0.1246  1 Cr 1.68
O: 0.6791 0.7980 0.6373  1 Cr 1.68
O: 0.8051 0.9298 0.3852  1 Cr 1.68
O: 0.9583 0.3209 0.1189  1 Cr 1.68


A relaxed structure of AgW2Br6O2. Source: the Materials Project database, functional PBE with a Hubbard U.

## Properties
Calculated formation energy in kJ/mol of atoms: -78
Mass density in g cm⁻³: 5.4
Total magnetization in μB/atom: 0.27
Energy with MP2020 corrections in eV/atom: -5.2117

a b c (Å): 7.5008 7.5008 11.5353
angles (deg): 110.34 110.34 29.89
With the nearest neighbours (Å) after each atom.
Sites, in units of the cell vectors:
Ag: 0.0000 0.0000 0.0000  4 Br 2.84-2.95
W: 0.1694 0.1694 0.3509  2 O 1.94
W: 0.3416 0.3416 0.7005  2 O 1.94
Br: 0.1466 0.1466 0.5705  2 W 2.67-2.68
Br: 0.2044 0.2044 0.1496  1 W 2.55, 1 Ag 2.84
Br: 0.3124 0.3124 0.9044  1 W 2.53
Br: 0.3654 0.3654 0.4820  2 W 2.66-2.70
Br: 0.5309 0.5309 0.8240  1 W 2.60
Br: 0.9818 0.9818 0.2382  1 W 2.56, 1 Ag 2.85
O: 0.6718 0.6718 0.3551  2 W 1.94
O: 0.8413 0.8413 0.6944  2 W 1.94


A relaxed structure of CaMn4Ag4O16. Source: the Materials Project database, functional PBE with a Hubbard U.

## Properties
Calculated formation energy in kJ/mol of atoms: -107
Mass density in g cm⁻³: 4.1
Energy above the most stable polymorph in this dataset in meV per atom: 0
Total magnetization in μB/atom: 0.08
Energy with MP2020 corrections in eV/atom: -6.2779

a b c (Å): 5.6036 8.0341 8.6121
angles (deg): 92.92 90.68 97.15
With the nearest neighbours (Å) after each atom.
Sites, in units of the cell vectors:
Ca: 0.0000 0.0000 0.0000  6 O 2.31-2.57
Mn: 0.4346 0.8129 0.0209  4 O 1.64-1.72
Mn: 0.4731 0.5757 0.5125  4 O 1.62-1.66
Mn: 0.9267 0.3524 0.1115  4 O 1.64-1.73
Mn: 0.9676 0.0882 0.6053  4 O 1.62-1.66
Ag: 0.4212 0.3531 0.8616  4 O 2.20-2.34
Ag: 0.4568 0.1350 0.3238  5 O 2.26-2.43
Ag: 0.9854 0.5771 0.7672  4 O 2.23-2.29
Ag: 0.9967 0.7565 0.3312  4 O 2.22-2.36
O: 0.1158 0.0250 0.4524  1 Mn 1.66
O: 0.1192 0.2576 0.6906  1 Mn 1.65
O: 0.1854 0.2696 0.0551  1 Mn 1.73
O: 0.2091 0.6339 0.5574  1 Mn 1.65
O: 0.2769 0.8831 0.1763  1 Mn 1.72
O: 0.2788 0.6343 0.9460  1 Mn 1.68
O: 0.4199 0.9613 0.8977  1 Mn 1.64
O: 0.4401 0.4182 0.3865  1 Mn 1.62
O: 0.6073 0.5199 0.6716  1 Mn 1.66
O: 0.6391 0.7348 0.4430  1 Mn 1.63
O: 0.7073 0.1327 0.5485  1 Mn 1.62
O: 0.7136 0.7830 0.0695  1 Mn 1.66
O: 0.7626 0.1655 0.1548  1 Mn 1.72
O: 0.7912 0.4180 0.9524  1 Mn 1.70
O: 0.9372 0.9395 0.7308  1 Mn 1.65
O: 0.9586 0.4839 0.2641  1 Mn 1.64


A relaxed structure of CaMn4Ag4O16. Source: the Materials Project database, functional PBE with a Hubbard U.

## Properties
Calculated formation energy in kJ/mol of atoms: -105
Mass density in g cm⁻³: 3.8
Energy above the most stable polymorph in this dataset in meV per atom: 23
Total magnetization in μB/atom: 0.08
Energy with MP2020 corrections in eV/atom: -6.2553

a b c (Å): 5.5708 8.2971 9.1944
angles (deg): 91.98 99.83 96.53
With the nearest neighbours (Å) after each atom.
Sites, in units of the cell vectors:
Ca: 0.0000 0.0000 0.0000  4 O 2.23-2.31
Mn: 0.2710 0.0135 0.4217  4 O 1.63-1.71
Mn: 0.3886 0.7765 0.8637  4 O 1.66-1.78
Mn: 0.8489 0.5254 0.3116  4 O 1.62-1.65
Mn: 0.8788 0.3056 0.7835  4 O 1.61-1.68
Ag: 0.3862 0.4615 0.5878  6 O 2.28-2.44
Ag: 0.4335 0.3775 0.0216  4 O 2.16-2.38
Ag: 0.6156 0.9062 0.2073  3 O 2.13-2.37
Ag: 0.8094 0.8403 0.6152  4 O 2.17-2.33
O: 0.0355 0.4428 0.7057  1 Mn 1.62
O: 0.0426 0.2718 0.9486  1 Mn 1.68
O: 0.1049 0.8670 0.4885  1 Mn 1.64
O: 0.1172 0.8586 0.8181  1 Mn 1.72
O: 0.1325 0.5015 0.3734  1 Mn 1.62
O: 0.1359 0.0348 0.2463  1 Mn 1.68
O: 0.3040 0.1849 0.5193  1 Mn 1.63
O: 0.3574 0.6285 0.9784  1 Mn 1.66
O: 0.5151 0.7208 0.7146  1 Mn 1.72
O: 0.5533 0.9508 0.4271  1 Mn 1.71
O: 0.5937 0.9345 0.9693  1 Mn 1.78
O: 0.6175 0.3683 0.8066  1 Mn 1.64
O: 0.7058 0.5575 0.4494  1 Mn 1.64
O: 0.7137 0.3603 0.2131  1 Mn 1.65
O: 0.8255 0.1358 0.6872  1 Mn 1.61
O: 0.8383 0.6799 0.2072  1 Mn 1.63


A relaxed structure of Ca2AgWO6. Source: the Materials Project database, functional PBE with a Hubbard U.

## Properties
Calculated formation energy in kJ/mol of atoms: -228
Mass density in g cm⁻³: 5.6
Energy above the most stable polymorph in this dataset in meV per atom: 14
Total magnetization in μB/atom: 0.10
Energy with MP2020 corrections in eV/atom: -7.3118

a b c (Å): 5.5439 5.8033 5.8049
angles (deg): 117.39 118.52 90.05
With the nearest neighbours (Å) after each atom.
Sites, in units of the cell vectors:
Ca: 0.0000 0.0000 0.0000  5 O 2.27-2.42
Ca: 0.4918 0.4867 0.9985  6 O 2.31-2.56
Ag: 0.2279 0.6626 0.4546  4 O 2.17-2.39
W: 0.7104 0.1280 0.4249  6 O 1.90-2.06
O: 0.0453 0.3396 0.5206  1 W 1.91
O: 0.3521 0.8491 0.2625  1 W 2.06, 1 Ag 2.17, 1 Ca 2.30
O: 0.4561 0.3314 0.2957  1 W 1.94
O: 0.6132 0.8802 0.0042  1 W 1.96
O: 0.7814 0.2914 0.8287  1 W 1.90
O: 0.9148 0.8657 0.5180  1 W 2.02, 1 Ag 2.18


A relaxed structure of Ca2AgWO6. Source: the Materials Project database, functional PBE with a Hubbard U.

## Properties
Calculated formation energy in kJ/mol of atoms: -229
Mass density in g cm⁻³: 5.9
Energy above the most stable polymorph in this dataset in meV per atom: 0
Total magnetization in μB/atom: 0.10
Energy with MP2020 corrections in eV/atom: -7.3258

a b c (Å): 5.6270 5.9232 9.6665
angles (deg): 90.00 125.09 90.00
With the nearest neighbours (Å) after each atom.
Sites, in units of the cell vectors:
Ca: 0.2270 0.0639 0.2455  5 O 2.35-2.59
Ca: 0.2270 0.4361 0.7455  5 O 2.35-2.59
Ca: 0.7730 0.5639 0.2545  5 O 2.35-2.59
Ca: 0.7730 0.9361 0.7545  5 O 2.35-2.59
Ag: 0.0000 0.0000 0.5000  6 O 2.26-2.41
Ag: 0.0000 0.5000 0.0000  6 O 2.26-2.41
W: 0.5000 0.0000 0.0000  6 O 1.94-1.98
W: 0.5000 0.5000 0.5000  6 O 1.94-1.98
O: 0.1618 0.1716 0.9465  1 W 1.95
O: 0.1618 0.3284 0.4465  1 W 1.95
O: 0.2677 0.7270 0.9267  1 W 1.94
O: 0.2677 0.7730 0.4267  1 W 1.94
O: 0.3900 0.0567 0.7682  1 W 1.98
O: 0.3900 0.4433 0.2682  1 W 1.98
O: 0.6100 0.5567 0.7318  1 W 1.98
O: 0.6100 0.9433 0.2318  1 W 1.98
O: 0.7323 0.2270 0.5733  1 W 1.94
O: 0.7323 0.2730 0.0733  1 W 1.94
O: 0.8382 0.6716 0.5535  1 W 1.95
O: 0.8382 0.8284 0.0535  1 W 1.95


A relaxed structure of VCdAgO4. Source: the Materials Project database, functional PBE with a Hubbard U.

## Properties
Calculated formation energy in kJ/mol of atoms: -164
Mass density in g cm⁻³: 5.6
Total magnetization in μB/atom: 0.00
Energy with MP2020 corrections in eV/atom: -6.3638

a b c (Å): 10.0422 7.0997 5.5432
angles (deg): 90.00 90.00 90.00
With the nearest neighbours (Å) after each atom.
Sites, in units of the cell vectors:
V: 0.1791 0.2500 0.0114  4 O 1.73-1.81
V: 0.3209 0.7500 0.5114  4 O 1.73-1.81
V: 0.6791 0.2500 0.4886  4 O 1.73-1.81
V: 0.8209 0.7500 0.9886  4 O 1.73-1.81
Cd: 0.0000 0.0000 0.5000  6 O 2.28-2.46
Cd: 0.0000 0.5000 0.5000  6 O 2.28-2.46
Cd: 0.5000 0.0000 0.0000  6 O 2.28-2.46
Cd: 0.5000 0.5000 0.0000  6 O 2.28-2.46
Ag: 0.1507 0.7500 0.9976  4 O 2.34-2.52
Ag: 0.3493 0.2500 0.4976  4 O 2.34-2.52
Ag: 0.6507 0.7500 0.5024  4 O 2.34-2.52
Ag: 0.8493 0.2500 0.0024  4 O 2.34-2.52
O: 0.1173 0.0527 0.1551  1 V 1.73
O: 0.1173 0.4473 0.1551  1 V 1.73
O: 0.1263 0.2500 0.7065  1 V 1.77
O: 0.1430 0.7500 0.5588  1 V 1.81
O: 0.3570 0.2500 0.0588  1 V 1.81
O: 0.3737 0.7500 0.2065  1 V 1.77
O: 0.3827 0.5527 0.6551  1 V 1.73
O: 0.3827 0.9473 0.6551  1 V 1.73
O: 0.6173 0.0527 0.3449  1 V 1.73
O: 0.6173 0.4473 0.3449  1 V 1.73
O: 0.6263 0.2500 0.7935  1 V 1.77
O: 0.6430 0.7500 0.9412  1 V 1.81
O: 0.8570 0.2500 0.4412  1 V 1.81
O: 0.8737 0.7500 0.2935  1 V 1.77
O: 0.8827 0.5527 0.8449  1 V 1.73
O: 0.8827 0.9473 0.8449  1 V 1.73


A relaxed structure of MgCr2Ag6Cl2O8. Source: the Materials Project database, functional PBE with a Hubbard U.

## Properties
Calculated formation energy in kJ/mol of atoms: -102
Mass density in g cm⁻³: 5.1
Energy above the most stable polymorph in this dataset in meV per atom: 20
Total magnetization in μB/atom: 0.10
Energy with MP2020 corrections in eV/atom: -5.3327

a b c (Å): 7.5169 7.5169 5.6039
angles (deg): 94.25 94.25 90.03
With the nearest neighbours (Å) after each atom.
Sites, in units of the cell vectors:
Mg: 0.0000 0.0000 0.0000  4 O 2.03
Cr: 0.2578 0.7422 0.0000  4 O 1.72-1.78
Cr: 0.7422 0.2578 0.0000  4 O 1.72-1.78
Ag: 0.0000 0.0000 0.5000  4 O 2.57, 2 Cl 2.69, 2 Mg 2.80
Ag: 0.0000 0.5000 0.5000  2 O 2.39
Ag: 0.2744 0.2744 0.8817  4 O 2.34-2.52
Ag: 0.5000 0.0000 0.5000  2 O 2.39
Ag: 0.5000 0.5000 0.5000  4 O 2.56
Ag: 0.7256 0.7256 0.1183  4 O 2.34-2.52
Cl: 0.2311 0.2311 0.3441  6 Ag 2.68-3.00, 1 Mg 2.96
Cl: 0.7689 0.7689 0.6559  6 Ag 2.68-3.00, 1 Mg 2.96
O: 0.0593 0.7684 0.1535  1 Cr 1.78
O: 0.2316 0.9407 0.8465  1 Cr 1.78
O: 0.2499 0.5700 0.7790  1 Cr 1.72
O: 0.4300 0.7501 0.2210  1 Cr 1.72
O: 0.5700 0.2499 0.7790  1 Cr 1.72
O: 0.7501 0.4300 0.2210  1 Cr 1.72
O: 0.7684 0.0593 0.1535  1 Cr 1.78
O: 0.9407 0.2316 0.8465  1 Cr 1.78


A relaxed structure of MgCr2Ag6Cl2O8. Source: the Materials Project database, functional PBE with a Hubbard U.

## Properties
Calculated formation energy in kJ/mol of atoms: -104
Mass density in g cm⁻³: 5.2
Energy above the most stable polymorph in this dataset in meV per atom: 0
Total magnetization in μB/atom: 0.10
Energy with MP2020 corrections in eV/atom: -5.3531

a b c (Å): 7.5709 7.5709 5.4440
angles (deg): 90.00 90.00 90.00
With the nearest neighbours (Å) after each atom.
Sites, in units of the cell vectors:
Mg: 0.0000 0.0000 0.0000  4 O 2.00
Cr: 0.0000 0.0000 0.5000  4 O 1.83
Cr: 0.5000 0.5000 0.5000  4 O 1.69
Ag: 0.0000 0.5000 0.3762  4 O 2.45-2.51, 1 Cl 2.59
Ag: 0.2755 0.2755 0.0000  4 O 2.44-2.66
Ag: 0.2755 0.7245 0.0000  4 O 2.44-2.66
Ag: 0.5000 0.0000 0.6238  4 O 2.45-2.51, 1 Cl 2.59
Ag: 0.7245 0.2755 0.0000  4 O 2.44-2.66
Ag: 0.7245 0.7245 0.0000  4 O 2.44-2.66
Cl: 0.0000 0.5000 0.8521  6 Ag 2.59-2.85
Cl: 0.5000 0.0000 0.1479  6 Ag 2.59-2.85
O: 0.0000 0.1776 0.2726  1 Cr 1.83, 1 Mg 2.00
O: 0.0000 0.8224 0.2726  1 Cr 1.83, 1 Mg 2.00
O: 0.1776 0.0000 0.7274  1 Cr 1.83, 1 Mg 2.00
O: 0.3203 0.5000 0.3165  1 Cr 1.69
O: 0.5000 0.3203 0.6835  1 Cr 1.69
O: 0.5000 0.6797 0.6835  1 Cr 1.69
O: 0.6797 0.5000 0.3165  1 Cr 1.69
O: 0.8224 0.0000 0.7274  1 Cr 1.83, 1 Mg 2.00


A relaxed structure of MgAg6Mo2ClO7F3. Source: the Materials Project database, functional PBE with a Hubbard U.

## Properties
Calculated formation energy in kJ/mol of atoms: -132
Mass density in g cm⁻³: 5.3
Total magnetization in μB/atom: 0.05
Energy with MP2020 corrections in eV/atom: -5.4956

a b c (Å): 8.3544 8.3544 5.5371
angles (deg): 90.00 90.00 120.00
With the nearest neighbours (Å) after each atom.
Sites, in units of the cell vectors:
Mg: 0.0000 0.0000 0.0000  3 F 2.02, 3 O 2.24
Ag: 0.0065 0.5033 0.6065  2 O 2.35-2.50
Ag: 0.4452 0.2226 0.9824  1 O 2.24
Ag: 0.4967 0.5033 0.6065  2 O 2.35-2.50
Ag: 0.4967 0.9935 0.6065  2 O 2.35-2.50
Ag: 0.7774 0.2226 0.9824  1 O 2.24
Ag: 0.7774 0.5548 0.9824  1 O 2.24
Mo: 0.0000 0.0000 0.5259  3 O 1.87
Mo: 0.3333 0.6667 0.1268  4 O 1.80-1.85
Cl: 0.6667 0.3333 0.4090  6 Ag 2.69-2.85
O: 0.1012 0.5506 0.0119  1 Mo 1.80
O: 0.2159 0.1079 0.7105  1 Mo 1.87
O: 0.3333 0.6667 0.4614  1 Mo 1.85
O: 0.4494 0.5506 0.0119  1 Mo 1.80
O: 0.4494 0.8988 0.0119  1 Mo 1.80
O: 0.8921 0.1079 0.7105  1 Mo 1.87
O: 0.8921 0.7841 0.7105  1 Mo 1.87
F: 0.1035 0.2071 0.2441  1 Mg 2.02, 1 Mo 2.16
F: 0.1035 0.8965 0.2441  1 Mg 2.02, 1 Mo 2.16
F: 0.7929 0.8965 0.2441  1 Mg 2.02, 1 Mo 2.16